1.
Computed, not measured: a relaxed MgS2 crystal at the PBE level of DFT.

CIF file:
```
data_MgS2
_chemical_formula_sum 'Mg3 S6'
_space_group_name_H-M_alt 'R -3 m'
_space_group_IT_number 166
_space_group_name_Hall '-R 3 2"'
_cell_length_a 3.9654
_cell_length_b 3.9654
_cell_length_c 13.7290
_cell_angle_alpha 90.00
_cell_angle_beta 90.00
_cell_angle_gamma 120.00
loop_
_atom_site_label
_atom_site_fract_x
_atom_site_fract_y
_atom_site_fract_z
Mg1 0.0000 0.0000 0.0000
S1 0.0000 0.0000 0.4237
```

Calculated values
Volume, Å³/f.u.: 62.3
Formation energy from the elements, eV/atom: -1.17
Electronic total energy, eV per atom: -4.121

2.
Computed, not measured: a relaxed Te6IrBr3 crystal at the PBE level of DFT.

CIF file:
```
data_Te6IrBr3
_chemical_formula_sum 'Te36 Ir6 Br18'
_space_group_name_H-M_alt 'R -3 c'
_space_group_IT_number 167
_space_group_name_Hall '-R 3 2"c'
_cell_length_a 15.5575
_cell_length_b 15.5575
_cell_length_c 9.9957
_cell_angle_alpha 90.00
_cell_angle_beta 90.00
_cell_angle_gamma 120.00
loop_
_atom_site_label
_atom_site_fract_x
_atom_site_fract_y
_atom_site_fract_z
Te1 0.0757 0.1636 0.0957
Ir1 0.0000 0.0000 0.2500
Br1 0.0000 0.2614 0.7500
```

Calculated values
Volume, Å³/f.u.: 349.2
Formation energy from the elements, eV/atom: -0.46
Electronic total energy, eV per atom: -3.561

3.
Computed, not measured: a relaxed Na3ScGaP3O12 crystal at the PBE level of DFT.

CIF file:
```
data_Na3ScGaP3O12
_chemical_formula_sum 'Na12 Sc4 Ga4 P12 O48'
_space_group_name_H-M_alt 'P 1'
_space_group_IT_number 1
_cell_length_a 8.879
_cell_length_b 8.892
_cell_length_c 12.662
_cell_angle_alpha 90.28
_cell_angle_beta 90.04
_cell_angle_gamma 90.05
loop_
_space_group_symop_operation_xyz
'x,y,z'
loop_
_atom_site_label
_atom_site_fract_x
_atom_site_fract_y
_atom_site_fract_z
Na1 0.000 0.000 0.000
Na2 0.032 0.656 0.687
Na3 0.162 0.649 0.429
Na4 0.206 0.647 0.934
Na5 0.325 0.654 0.188
Na6 0.366 0.997 0.495
Na7 0.500 0.503 0.493
Na8 0.544 0.155 0.186
Na9 0.662 0.147 0.934
Na10 0.705 0.150 0.429
Na11 0.831 0.153 0.688
Na12 0.864 0.500 0.997
Sc1 0.174 0.948 0.289
Sc2 0.182 0.357 0.581
Sc3 0.191 0.947 0.791
Sc4 0.675 0.446 0.789
Ga1 0.183 0.356 0.084
Ga2 0.682 0.857 0.583
Ga3 0.683 0.856 0.085
Ga4 0.689 0.450 0.287
P1 0.030 0.995 0.541
P2 0.042 0.307 0.840
P3 0.332 0.308 0.330
P4 0.334 0.003 0.043
P5 0.387 0.658 0.682
P6 0.486 0.148 0.682
P7 0.533 0.504 0.045
P8 0.544 0.802 0.333
P9 0.823 0.807 0.837
P10 0.826 0.506 0.536
P11 0.884 0.159 0.184
P12 0.974 0.649 0.184
O1 0.000 0.498 0.531
O2 0.072 0.163 0.544
O3 0.075 0.137 0.842
O4 0.075 0.560 0.105
O5 0.081 0.733 0.260
O6 0.086 0.920 0.643
O7 0.098 0.379 0.736
O8 0.108 0.915 0.448
O9 0.111 0.394 0.935
O10 0.258 0.921 0.949
O11 0.266 0.397 0.425
O12 0.270 0.378 0.227
O13 0.274 0.926 0.143
O14 0.281 0.734 0.762
O15 0.287 0.573 0.601
O16 0.294 0.173 0.045
O17 0.298 0.138 0.336
O18 0.359 0.494 0.039
O19 0.369 0.815 0.341
O20 0.382 0.042 0.742
O21 0.392 0.258 0.614
O22 0.482 0.767 0.614
O23 0.489 0.548 0.741
O24 0.508 0.320 0.337
O25 0.508 0.993 0.038
O26 0.572 0.674 0.048
O27 0.574 0.630 0.333
O28 0.585 0.061 0.599
O29 0.594 0.227 0.761
O30 0.596 0.425 0.145
O31 0.603 0.877 0.231
O32 0.608 0.423 0.950
O33 0.611 0.888 0.429
O34 0.750 0.425 0.441
O35 0.755 0.892 0.933
O36 0.765 0.879 0.733
O37 0.771 0.425 0.637
O38 0.778 0.244 0.260
O39 0.783 0.066 0.105
O40 0.785 0.675 0.543
O41 0.790 0.637 0.839
O42 0.856 0.989 0.535
O43 0.867 0.320 0.847
O44 0.873 0.544 0.249
O45 0.879 0.756 0.113
O46 0.982 0.260 0.111
O47 0.985 0.054 0.248
O48 0.998 0.819 0.846
```

Calculated values
Volume, Å³/f.u.: 249.9
Magnetic moment, μB per formula unit: 0.00
Formation energy from the elements, eV/atom: -2.81
Electronic total energy, eV per atom: -6.846

4.
Computed, not measured: a relaxed Ce13Zn58 crystal at the PBE level of DFT.

CIF file:
```
data_Ce13Zn58
_chemical_formula_sum 'Ce26 Zn116'
_space_group_name_H-M_alt 'P 63/m m c'
_space_group_IT_number 194
_space_group_name_Hall '-P 6c 2c'
_cell_length_a 14.5603
_cell_length_b 14.5603
_cell_length_c 14.0075
_cell_angle_alpha 90.00
_cell_angle_beta 90.00
_cell_angle_gamma 120.00
loop_
_atom_site_label
_atom_site_fract_x
_atom_site_fract_y
_atom_site_fract_z
Ce1 0.0000 0.0000 0.0000
Ce2 0.0826 0.5413 0.2500
Ce3 0.1274 0.2549 0.2500
Ce4 0.2051 0.4102 0.5514
Zn1 0.0000 0.0000 0.2500
Zn2 0.0000 0.2015 0.0000
Zn3 0.0000 0.5000 0.0000
Zn4 0.0350 0.3656 0.1026
Zn5 0.0844 0.3655 0.7500
Zn6 0.0947 0.1893 0.6563
Zn7 0.1287 0.5644 0.6428
Zn8 0.2034 0.6017 0.0511
Zn9 0.2370 0.4741 0.1579
Zn10 0.2691 0.5383 0.7500
Zn11 0.3333 0.6667 0.2500
Zn12 0.3333 0.6667 0.5973
```

Calculated values
Volume, Å³/f.u.: 1285.9
Magnetic moment, μB per formula unit: 6.63
Formation energy from the elements, eV/atom: -0.28
Electronic total energy, eV per atom: -2.392

5.
Computed, not measured: a relaxed Rb8Cu6As8S19 crystal at the PBE level of DFT.

CIF file:
```
data_Rb8Cu6As8S19
_chemical_formula_sum 'Rb16 Cu12 As16 S38'
_space_group_name_H-M_alt 'P 1 21 1'
_space_group_IT_number 4
_cell_length_a 11.989
_cell_length_b 9.266
_cell_length_c 20.046
_cell_angle_alpha 90.00
_cell_angle_beta 95.98
_cell_angle_gamma 90.00
loop_
_space_group_symop_operation_xyz
'x,y,z'
'-x,y+1/2,-z'
loop_
_atom_site_label
_atom_site_fract_x
_atom_site_fract_y
_atom_site_fract_z
Rb1 0.033 0.055 0.185
Rb2 0.077 0.071 0.686
Rb3 0.203 0.888 0.379
Rb4 0.235 0.869 0.885
Rb5 0.306 0.395 0.337
Rb6 0.333 0.369 0.870
Rb7 0.415 0.487 0.088
Rb8 0.430 0.500 0.549
Cu1 0.141 0.187 0.455
Cu2 0.155 0.160 0.963
Cu3 0.184 0.768 0.050
Cu4 0.193 0.789 0.542
Cu5 0.316 0.825 0.212
Cu6 0.356 0.849 0.698
As1 0.090 0.415 0.504
As2 0.090 0.652 0.138
As3 0.094 0.391 0.008
As4 0.112 0.677 0.635
As5 0.332 0.078 0.097
As6 0.339 0.104 0.583
As7 0.490 0.729 0.271
As8 0.491 0.628 0.743
S1 0.068 0.214 0.345
S2 0.083 0.973 0.024
S3 0.088 0.997 0.521
S4 0.094 0.186 0.851
S5 0.110 0.402 0.125
S6 0.117 0.426 0.621
S7 0.173 0.684 0.243
S8 0.192 0.598 0.469
S9 0.199 0.577 0.978
S10 0.210 0.718 0.736
S11 0.333 0.052 0.263
S12 0.335 0.172 0.475
S13 0.349 0.139 0.991
S14 0.359 0.834 0.102
S15 0.372 0.861 0.584
S16 0.384 0.422 0.716
S17 0.399 0.052 0.763
S18 0.475 0.680 0.383
S19 0.489 0.659 0.859
```

Calculated values
Volume, Å³/f.u.: 1107.4
Magnetic moment, μB per formula unit: 0.04
Formation energy from the elements, eV/atom: -0.81
Electronic total energy, eV per atom: -4.191

6.
Computed, not measured: a relaxed Nb3Al2N crystal at the PBE level of DFT.

CIF file:
```
data_Nb3Al2N
_chemical_formula_sum 'Nb12 Al8 N4'
_space_group_name_H-M_alt 'P 41 3 2'
_space_group_IT_number 213
_space_group_name_Hall 'P 4bd 2ab 3'
_cell_length_a 7.079
_cell_length_b 7.079
_cell_length_c 7.079
_cell_angle_alpha 90.00
_cell_angle_beta 90.00
_cell_angle_gamma 90.00
loop_
_atom_site_label
_atom_site_fract_x
_atom_site_fract_y
_atom_site_fract_z
Nb1 0.045 0.125 0.795
Al1 0.071 0.929 0.429
N1 0.125 0.375 0.625
```

Calculated values
Volume, Å³/f.u.: 88.7
Formation energy from the elements, eV/atom: -0.73
Electronic total energy, eV per atom: -8.360

7.
Computed, not measured: a relaxed RbMg2 crystal at the PBE level of DFT.

CIF file:
```
data_RbMg2
_chemical_formula_sum 'Rb4 Mg8'
_space_group_name_H-M_alt 'C m c m'
_space_group_IT_number 63
_space_group_name_Hall '-C 2c 2'
_cell_length_a 3.845
_cell_length_b 27.250
_cell_length_c 4.832
_cell_angle_alpha 90.00
_cell_angle_beta 90.00
_cell_angle_gamma 90.00
loop_
_atom_site_label
_atom_site_fract_x
_atom_site_fract_y
_atom_site_fract_z
Rb1 0.000 0.173 0.250
Mg1 0.000 0.049 0.750
Mg2 0.000 0.457 0.750
```

Calculated values
Volume, Å³/f.u.: 126.6
Magnetic moment, μB per formula unit: 0.00
Formation energy from the elements, eV/atom: 0.18
Electronic total energy, eV per atom: -1.213

8.
Computed, not measured: a relaxed ScHg crystal at the PBE level of DFT.

CIF file:
```
data_ScHg
_chemical_formula_sum 'Sc1 Hg1'
_space_group_name_H-M_alt 'P m -3 m'
_space_group_IT_number 221
_space_group_name_Hall '-P 4 2 3'
_cell_length_a 3.528
_cell_length_b 3.528
_cell_length_c 3.528
_cell_angle_alpha 90.00
_cell_angle_beta 90.00
_cell_angle_gamma 90.00
loop_
_atom_site_label
_atom_site_fract_x
_atom_site_fract_y
_atom_site_fract_z
Sc1 0.000 0.000 0.000
Hg1 0.500 0.500 0.500
```

Calculated values
Volume, Å³/f.u.: 43.9
Formation energy from the elements, eV/atom: -0.43
Electronic total energy, eV per atom: -3.748

9.
Computed, not measured: a relaxed In2Ir crystal at the PBE level of DFT.

CIF file:
```
data_In2Ir
_chemical_formula_sum 'In32 Ir16'
_space_group_name_H-M_alt 'F d d d'
_space_group_IT_number 70
_cell_length_a 5.479
_cell_length_b 9.916
_cell_length_c 18.141
_cell_angle_alpha 90.00
_cell_angle_beta 90.00
_cell_angle_gamma 90.00
loop_
_space_group_symop_operation_xyz
'x,y,z'
'-x,-y,-z'
'-x+1/4,-y+1/4,z'
'x+1/4,y+1/4,-z'
'x,-y+1/4,-z+1/4'
'-x,y+1/4,z+1/4'
'-x+1/4,y,-z+1/4'
'x+1/4,-y,z+1/4'
'x,y+1/2,z+1/2'
'-x,-y+1/2,-z+1/2'
'-x+1/4,-y+3/4,z+1/2'
'x+1/4,y+3/4,-z+1/2'
'x,-y+3/4,-z+3/4'
'-x,y+3/4,z+3/4'
'-x+1/4,y+1/2,-z+3/4'
'x+1/4,-y+1/2,z+3/4'
'x+1/2,y,z+1/2'
'-x+1/2,-y,-z+1/2'
'-x+3/4,-y+1/4,z+1/2'
'x+3/4,y+1/4,-z+1/2'
'x+1/2,-y+1/4,-z+3/4'
'-x+1/2,y+1/4,z+3/4'
'-x+3/4,y,-z+3/4'
'x+3/4,-y,z+3/4'
'x+1/2,y+1/2,z'
'-x+1/2,-y+1/2,-z'
'-x+3/4,-y+3/4,z'
'x+3/4,y+3/4,-z'
'x+1/2,-y+3/4,-z+1/4'
'-x+1/2,y+3/4,z+1/4'
'-x+3/4,y+1/2,-z+1/4'
'x+3/4,-y+1/2,z+1/4'
loop_
_atom_site_label
_atom_site_fract_x
_atom_site_fract_y
_atom_site_fract_z
In1 0.125 0.125 0.040
In2 0.125 0.282 0.625
Ir1 0.125 0.125 0.495
```

Calculated values
Volume, Å³/f.u.: 61.6
Formation energy from the elements, eV/atom: -0.16
Electronic total energy, eV per atom: -4.942

Q: Which value of volume does entry 6 give?
A: 88.7 Å³/f.u.